# 1
# Er5Ni2Bi

A relaxed Er5Ni2Bi crystal (r²SCAN, Materials Project).

Lattice parameters (Å, degrees): 7.568 7.568 13.355 90.00 90.00 90.00
Space group I4/mcm (No. 140)
One atom of each set of equivalent atoms:
Er1 0.000 0.000 0.000
Er2 0.156 0.344 0.133
Ni1 0.132 0.368 0.500
Bi1 0.000 0.000 0.250

=====

# 2
# ErBiPd

A relaxed ErBiPd crystal (r²SCAN, Materials Project).

Lattice parameters (Å, degrees): 6.642 6.642 6.642 90.00 90.00 90.00
Space group F-43m (No. 216)
One atom of each set of equivalent atoms:
Er1 0.000 0.000 0.000
Bi1 0.000 0.000 0.500
Pd1 0.250 0.250 0.250

=====

# 3
# EuBi2

A relaxed EuBi2 crystal (r²SCAN, Materials Project).

Lattice parameters (Å, degrees): 4.835 17.403 4.588 90.00 90.00 90.00
Space group Cmcm (No. 63)
One atom of each set of equivalent atoms:
Eu1 0.000 0.102 0.250
Bi1 0.000 0.254 0.750
Bi2 0.000 0.437 0.250

=====

| no. | formation enthalpy at 0 K (eV per atom) |
| --- | --- |
| 1 | -0.50 |
| 2 | -1.02 |
| 3 | -0.72 |